[1]
DFT (r2SCAN) results for a geometry-optimized Cs2EuCl5 structure.

The energy of formation comes out at -2.215 eV/atom.

The space group is Pnma (No. 62) and the conventional cell measures 9.579, 7.667 and 15.415 Å, with angles of 90.00, 90.00 and 90.00 degrees. Symmetry generates all atoms from Cs at (0.029, 0.250, 0.210), Cs at (0.165, 0.750, 0.422), Eu at (0.182, 0.750, 0.067), Cl at (0.000, 0.000, 0.000), Cl at (0.027, 0.750, 0.209), Cl at (0.159, 0.511, 0.623) and Cl at (0.205, 0.250, 0.407).

***

[2]
DFT (r2SCAN) results for a geometry-optimized CsFeCl4 structure.

The energy of formation comes out at -1.514 eV/atom.

The space group is Pnma (No. 62) and the conventional cell measures 11.745, 7.140 and 9.496 Å, with angles of 90.00, 90.00 and 90.00 degrees. Symmetry generates all atoms from Cs at (0.181, 0.250, 0.165), Fe at (0.069, 0.250, 0.695), Cl at (0.085, 0.002, 0.831), Cl at (0.097, 0.750, 0.409) and Cl at (0.213, 0.250, 0.547).

***

[3]
DFT (r2SCAN) results for a geometry-optimized CsGd2Cl7 structure.

The energy of formation comes out at -2.509 eV/atom.

The space group is Pnma (No. 62) and the conventional cell measures 13.514, 7.070 and 12.841 Å, with angles of 90.00, 90.00 and 90.00 degrees. Symmetry generates all atoms from Cs at (0.041, 0.250, 0.196), Gd at (0.238, 0.250, 0.541), Gd at (0.249, 0.250, 0.845), Cl at (0.109, 0.750, 0.190), Cl at (0.123, 0.009, 0.425), Cl at (0.132, 0.010, 0.961) and Cl at (0.177, 0.009, 0.695).

***

[4]
DFT (r2SCAN) results for a geometry-optimized CsGeCl3 structure.

The energy of formation comes out at -1.453 eV/atom.

The space group is R3m (No. 160, hexagonal axes) and the conventional cell measures 7.6936, 7.6936 and 9.5349 Å, with angles of 90.00, 90.00 and 120.00 degrees. Symmetry generates all atoms from Cs at (0.0000, 0.0000, 0.0000), Ge at (0.0000, 0.0000, 0.5171) and Cl at (0.1827, 0.3654, 0.3156).